Record 1
Ca3B5W8Cl2O13: optimized geometry, PBE with a Hubbard U.

```
Ca3B5W8Cl2O13
1.0
8.663 0.000 0.000
0.000 9.033 0.000
-7.241 0.000 14.622
Ca B W Cl O
6 10 16 4 26
Cartesian
0.000 0.371 0.000 Ca
-3.620 8.662 7.311 Ca
0.714 1.147 3.536 Ca
-2.907 7.886 10.847 Ca
-0.372 0.395 9.253 Ca
3.249 8.638 1.942 Ca
-0.819 0.180 5.791 B
-4.440 8.853 13.102 B
-1.991 0.314 13.846 B
1.630 8.720 6.535 B
-0.230 0.371 11.965 B
3.391 8.662 4.654 B
6.261 0.151 1.566 B
2.641 8.882 8.877 B
5.866 0.023 4.128 B
2.245 9.010 11.439 B
-6.391 3.575 13.531 W
-2.770 5.458 6.220 W
-3.825 2.058 9.446 W
-0.204 6.975 2.135 W
-2.710 4.483 8.930 W
0.910 4.550 1.619 W
-0.182 4.475 4.296 W
-3.802 4.558 11.607 W
-1.282 2.945 7.002 W
-4.903 6.089 14.313 W
3.075 3.100 0.692 W
-0.545 5.934 8.003 W
-0.908 3.490 10.637 W
2.712 5.543 3.326 W
7.166 3.363 1.754 W
3.546 5.670 9.065 W
5.374 3.940 0.064 Cl
1.754 5.094 7.374 Cl
4.541 4.223 4.596 Cl
0.920 4.810 11.907 Cl
-1.439 0.103 4.523 O
-5.060 8.930 11.834 O
-5.327 1.934 14.160 O
-1.706 7.099 6.849 O
-2.685 0.469 9.318 O
0.935 8.564 2.007 O
-1.355 0.789 6.878 O
-4.975 8.244 14.189 O
-3.076 0.124 12.962 O
0.544 8.910 5.651 O
2.811 0.663 3.896 O
-0.809 8.370 11.207 O
-0.245 1.695 11.226 O
3.376 7.338 3.915 O
5.058 0.292 0.580 O
1.438 8.741 7.891 O
-0.759 0.552 13.349 O
2.861 8.481 6.038 O
5.519 0.018 2.820 O
1.898 9.015 10.131 O
1.267 0.112 12.364 O
4.888 8.921 5.053 O
3.361 1.106 8.530 O
6.982 7.928 1.219 O
7.169 1.279 1.543 O
3.548 7.754 8.854 O
```

Properties
* magnetization: 42.00 μB per cell

---

Record 2
CaCoBP2H5O11: optimized geometry, PBE with a Hubbard U.

```
CaCoBP2H5O11
1.0
6.613 0.000 0.000
2.139 7.667 0.000
0.916 3.002 8.353
Ca Co B P H O
2 2 2 4 10 22
Cartesian
0.826 0.856 1.332 Ca
8.843 9.813 7.021 Ca
2.904 2.549 3.369 Co
6.765 8.120 4.985 Co
4.885 6.355 6.605 B
4.784 4.314 1.749 B
3.477 7.498 4.586 P
5.436 8.838 7.816 P
4.233 1.831 0.537 P
6.191 3.172 3.767 P
1.738 3.956 5.192 H
1.937 4.751 0.934 H
2.662 5.505 7.448 H
3.229 5.187 2.686 H
3.241 4.556 5.182 H
6.427 6.113 3.171 H
6.440 5.482 5.667 H
7.007 5.164 0.906 H
7.731 5.919 7.419 H
7.931 6.713 3.162 H
0.751 2.506 3.013 O
1.775 5.301 7.807 O
3.031 6.957 3.211 O
4.444 9.983 7.980 O
2.691 3.759 4.995 O
3.387 4.334 2.201 O
3.949 6.226 5.445 O
4.711 8.436 4.478 O
4.598 7.607 7.323 O
3.062 1.561 1.491 O
4.541 5.198 7.472 O
5.127 5.471 0.881 O
6.606 9.108 6.862 O
5.070 3.063 1.030 O
4.958 2.233 3.876 O
5.719 4.443 2.908 O
6.282 6.336 6.152 O
6.977 6.911 3.358 O
5.224 0.686 0.373 O
6.638 3.712 5.142 O
7.893 5.368 0.546 O
8.918 8.164 5.340 O
```

Properties
* magnetization: 6.00 μB per cell

---

Record 3
CaNiBP2H3O10: optimized geometry, PBE with a Hubbard U.

```
CaNiBP2H3O10
1.0
5.184 -4.215 0.000
5.184 4.215 0.000
-4.005 0.000 8.328
Ca Ni B P H O
2 2 2 4 6 20
Cartesian
2.180 3.155 6.246 Ca
4.182 -3.155 2.082 Ca
2.592 2.107 0.000 Ni
0.589 -2.107 4.164 Ni
4.182 0.233 2.082 B
2.180 -0.233 6.246 B
-0.439 0.547 5.605 P
1.564 -0.547 1.441 P
4.798 0.547 6.887 P
6.801 -0.547 2.723 P
0.589 2.107 4.164 H
3.357 1.505 3.455 H
5.008 1.505 0.709 H
2.592 -2.107 0.000 H
1.354 -1.505 7.619 H
3.005 -1.505 4.873 H
1.657 2.630 3.917 O
-1.503 0.864 6.653 O
1.255 0.873 0.947 O
0.500 -0.864 2.489 O
-0.748 -0.873 5.111 O
1.014 0.719 6.190 O
4.178 1.002 0.842 O
6.707 2.630 0.247 O
4.187 1.002 3.322 O
3.017 -0.719 2.026 O
3.345 0.719 6.302 O
2.175 -1.002 5.006 O
-0.345 -2.630 8.082 O
2.184 -1.002 7.486 O
5.348 -0.719 2.138 O
7.110 0.873 3.217 O
5.862 0.864 5.839 O
5.108 -0.873 7.381 O
7.865 -0.864 1.675 O
4.705 -2.630 4.411 O
```

Properties
* magnetization: 4.00 μB per cell

---

Record 4
Ca2Mn2B4O13: optimized geometry, PBE with a Hubbard U.

```
Ca2Mn2B4O13
1.0
9.161 0.000 0.000
0.000 8.687 0.000
-0.018 0.000 12.011
Ca Mn B O
8 8 16 52
Cartesian
0.000 1.948 0.000 Ca
0.000 6.739 0.000 Ca
4.472 1.997 3.007 Ca
4.472 6.691 3.007 Ca
4.494 1.996 9.007 Ca
4.494 6.691 9.007 Ca
8.971 1.955 6.021 Ca
8.971 6.732 6.021 Ca
1.942 0.000 4.218 Mn
2.253 0.000 7.427 Mn
2.405 0.000 10.603 Mn
2.542 0.000 1.407 Mn
6.419 0.000 7.402 Mn
6.600 0.000 4.586 Mn
6.731 0.000 1.424 Mn
6.980 0.000 10.223 Mn
0.074 4.344 7.845 B
0.146 4.344 10.125 B
1.304 2.499 8.961 B
1.304 6.189 8.961 B
3.103 2.500 5.977 B
3.103 6.188 5.977 B
4.258 4.344 4.834 B
4.318 4.344 7.109 B
4.653 4.344 1.105 B
4.702 4.344 10.840 B
5.851 2.500 11.987 B
5.851 6.188 11.987 B
7.677 2.500 2.949 B
7.677 6.187 2.949 B
8.829 4.344 4.117 B
8.909 4.344 1.835 B
0.195 0.000 4.593 O
0.405 4.344 5.455 O
0.415 0.000 7.242 O
0.510 4.344 0.515 O
0.566 4.344 3.003 O
0.889 3.074 7.788 O
0.889 5.613 7.788 O
0.987 3.093 10.152 O
0.987 5.595 10.152 O
2.091 1.324 8.974 O
2.091 7.364 8.974 O
2.231 1.223 11.951 O
2.231 7.465 11.951 O
2.266 1.220 2.901 O
2.266 7.468 2.901 O
2.350 1.312 5.927 O
2.350 7.375 5.927 O
3.416 3.107 4.794 O
3.416 5.580 4.794 O
3.504 3.073 7.156 O
3.504 5.614 7.156 O
3.806 4.344 11.955 O
3.907 4.344 2.435 O
3.958 4.344 9.499 O
4.165 0.000 10.317 O
4.205 0.000 7.657 O
4.759 0.000 1.678 O
4.840 0.000 4.296 O
5.006 4.344 3.495 O
5.059 4.344 8.442 O
5.151 4.344 5.950 O
5.466 3.073 1.156 O
5.466 5.614 1.156 O
5.544 3.107 10.804 O
5.544 5.581 10.804 O
6.601 1.311 11.938 O
6.601 7.377 11.938 O
6.684 1.220 8.897 O
6.684 7.468 8.897 O
6.737 1.223 5.939 O
6.737 7.464 5.939 O
6.891 1.325 2.962 O
6.891 7.363 2.962 O
7.989 3.093 4.141 O
7.989 5.594 4.141 O
8.092 3.074 1.776 O
8.092 5.613 1.776 O
8.412 4.344 9.010 O
8.476 4.344 6.521 O
8.562 0.000 1.233 O
8.565 4.344 11.458 O
8.724 0.000 10.575 O
```

Properties
* energy above the lowest structure with this stoichiometry: 0.003 eV per atom
* magnetization: 24.00 μB per cell

---

| no. | ΔH_f (0 K) (eV per atom) |
| --- | --- |
| 1 | -1.18 |
| 2 | -2.23 |
| 3 | -2.38 |
| 4 | -2.33 |